The following is a DFT calculation (GGA-PBE) of a relaxed CsYMg6O8 crystal.

Summary:
E above lowest polymorph = 0.00 eV/f.u.
Space-group type = P4/mmm (123)
Total moment = 0.02 μB/cell
Corrected total energy (MP2020 scheme) = -95.8 eV per cell
Energy = -5.642 eV/atom

Cell: 4.7759 4.7759 9.0819 Å, 90.00 90.00 90.00°
Fractional coordinates of all 16 atoms:
Cs: 0.0000 0.0000 0.0000
Y: 0.5000 0.5000 0.0000
Mg: 0.0000 0.0000 0.5000
Mg: 0.0000 0.5000 0.2752
Mg: 0.0000 0.5000 0.7248
Mg: 0.5000 0.0000 0.2752
Mg: 0.5000 0.0000 0.7248
Mg: 0.5000 0.5000 0.5000
O: 0.0000 0.0000 0.2906
O: 0.0000 0.0000 0.7094
O: 0.0000 0.5000 0.0000
O: 0.0000 0.5000 0.5000
O: 0.5000 0.0000 0.0000
O: 0.5000 0.0000 0.5000
O: 0.5000 0.5000 0.2605
O: 0.5000 0.5000 0.7395



The following is a DFT calculation (GGA-PBE) of a relaxed SiO2 crystal.

Summary:
Space-group type = C2/c (15)
Total moment = 0.00 μB/cell
Corrected total energy (MP2020 scheme) = -802.6 eV per cell
Energy = -7.902 eV/atom

Cell: 12.6761 12.6761 14.5533 Å, 106.63 106.63 90.21°
Fractional coordinates of all 96 atoms:
Si: 0.0825 0.7472 0.8823
Si: 0.0864 0.5040 0.8865
Si: 0.0910 0.1294 0.8848
Si: 0.1105 0.8895 0.7500
Si: 0.1111 0.2755 0.7454
Si: 0.1269 0.8375 0.3873
Si: 0.1294 0.0910 0.3848
Si: 0.1625 0.8731 0.1127
Si: 0.1660 0.4944 0.1064
Si: 0.1687 0.2536 0.1149
Si: 0.2528 0.9175 0.6177
Si: 0.2536 0.1687 0.6149
Si: 0.2746 0.7254 0.2500
Si: 0.2755 0.1111 0.2454
Si: 0.4944 0.1660 0.6064
Si: 0.4960 0.9136 0.6135
Si: 0.5040 0.0864 0.3865
Si: 0.5056 0.8340 0.3936
Si: 0.7245 0.8889 0.7546
Si: 0.7254 0.2746 0.7500
Si: 0.7464 0.8313 0.3851
Si: 0.7472 0.0825 0.3823
Si: 0.8313 0.7464 0.8851
Si: 0.8340 0.5056 0.8936
Si: 0.8375 0.1269 0.8873
Si: 0.8706 0.9090 0.6152
Si: 0.8731 0.1625 0.6127
Si: 0.8889 0.7245 0.2546
Si: 0.8895 0.1105 0.2500
Si: 0.9090 0.8706 0.1152
Si: 0.9136 0.4960 0.1135
Si: 0.9175 0.2528 0.1177
O: 0.0022 0.7775 0.3448
O: 0.0056 0.1222 0.3384
O: 0.0419 0.8708 0.1319
O: 0.0427 0.5095 0.1181
O: 0.0502 0.2500 0.1371
O: 0.1081 0.4070 0.7953
O: 0.1162 0.7878 0.7977
O: 0.1167 0.6221 0.8732
O: 0.1222 0.0056 0.8384
O: 0.1282 0.2130 0.8312
O: 0.1292 0.9581 0.3681
O: 0.1481 0.8295 0.9933
O: 0.1582 0.1709 0.0036
O: 0.1642 0.4954 0.9942
O: 0.1709 0.1582 0.5036
O: 0.1705 0.8520 0.5067
O: 0.2055 0.7603 0.3310
O: 0.2083 0.3789 0.1235
O: 0.2122 0.8838 0.7023
O: 0.2130 0.1282 0.3312
O: 0.2138 0.2605 0.6983
O: 0.2225 0.9978 0.1552
O: 0.2397 0.7945 0.1690
O: 0.2500 0.0502 0.6371
O: 0.2511 0.5942 0.1912
O: 0.2605 0.2138 0.1983
O: 0.3779 0.8833 0.6268
O: 0.3789 0.2083 0.6235
O: 0.4058 0.7489 0.3088
O: 0.4070 0.1081 0.2953
O: 0.4905 0.9573 0.3819
O: 0.4954 0.1642 0.4942
O: 0.5046 0.8358 0.5058
O: 0.5095 0.0427 0.6181
O: 0.5930 0.8919 0.7047
O: 0.5942 0.2511 0.6912
O: 0.6211 0.7917 0.3765
O: 0.6221 0.1167 0.3732
O: 0.7395 0.7862 0.8017
O: 0.7489 0.4058 0.8088
O: 0.7500 0.9498 0.3629
O: 0.7603 0.2055 0.8310
O: 0.7775 0.0022 0.8448
O: 0.7862 0.7395 0.3017
O: 0.7870 0.8718 0.6688
O: 0.7878 0.1162 0.2977
O: 0.7917 0.6211 0.8765
O: 0.7945 0.2397 0.6690
O: 0.8295 0.1480 0.4933
O: 0.8291 0.8418 0.4964
O: 0.8358 0.5046 0.0058
O: 0.8418 0.8291 0.9964
O: 0.8520 0.1705 0.0067
O: 0.8708 0.0419 0.6319
O: 0.8718 0.7870 0.1688
O: 0.8778 0.9944 0.1616
O: 0.8833 0.3779 0.1268
O: 0.8838 0.2122 0.2023
O: 0.8919 0.5930 0.2047
O: 0.9498 0.7500 0.8629
O: 0.9573 0.4905 0.8819
O: 0.9581 0.1292 0.8681
O: 0.9944 0.8778 0.6616
O: 0.9978 0.2225 0.6552



The following is a DFT calculation (GGA-PBE) of a relaxed MgTe2O5 crystal.

Summary:
Space-group type = Pbcn (60)
Corrected total energy (MP2020 scheme) = -192.8 eV per cell
Energy = -5.594 eV/atom

Cell: 7.3979 10.8345 6.0440 Å, 90.00 90.00 90.00°
Fractional coordinates of all 32 atoms:
Mg: 0.0000 0.0588 0.2500
Mg: 0.0000 0.9412 0.7500
Mg: 0.5000 0.4412 0.7500
Mg: 0.5000 0.5588 0.2500
Te: 0.1369 0.3465 0.0105
Te: 0.1369 0.6535 0.5105
Te: 0.3631 0.1535 0.5105
Te: 0.3631 0.8465 0.0105
Te: 0.6369 0.1535 0.9895
Te: 0.6369 0.8465 0.4895
Te: 0.8631 0.3465 0.4895
Te: 0.8631 0.6535 0.9895
O: 0.0000 0.4399 0.2500
O: 0.0000 0.5601 0.7500
O: 0.1466 0.0651 0.5507
O: 0.1466 0.9349 0.0507
O: 0.1913 0.2060 0.1864
O: 0.1913 0.7940 0.6864
O: 0.3087 0.2940 0.6864
O: 0.3087 0.7060 0.1864
O: 0.3534 0.4349 0.0507
O: 0.3534 0.5651 0.5507
O: 0.5000 0.0601 0.7500
O: 0.5000 0.9399 0.2500
O: 0.6466 0.4349 0.4493
O: 0.6466 0.5651 0.9493
O: 0.6913 0.2940 0.8136
O: 0.6913 0.7060 0.3136
O: 0.8087 0.2060 0.3136
O: 0.8087 0.7940 0.8136
O: 0.8534 0.0651 0.9493
O: 0.8534 0.9349 0.4493



The following is a DFT calculation (GGA-PBE) of a relaxed KBP2PbO8 crystal.

Summary:
Space-group type = Cc (9)
Total moment = 0.00 μB/cell
Corrected total energy (MP2020 scheme) = -192.0 eV per cell
Energy = -6.963 eV/atom

Cell: 7.1641 7.1641 8.7731 Å, 112.53 112.53 90.75°
Fractional coordinates of all 26 atoms:
K: 0.0708 0.9292 0.5000
K: 0.9292 0.0708 0.0000
B: 0.4303 0.7104 0.7543
B: 0.7104 0.4303 0.2543
P: 0.0762 0.4163 0.5126
P: 0.4163 0.0762 0.0126
P: 0.5609 0.7150 0.4888
P: 0.7150 0.5609 0.9888
Pb: 0.2204 0.6019 0.0356
Pb: 0.6019 0.2204 0.5356
O: 0.2065 0.6399 0.6552
O: 0.2075 0.2655 0.4524
O: 0.2655 0.2075 0.9524
O: 0.3456 0.9506 0.0947
O: 0.3572 0.7529 0.3692
O: 0.4694 0.9348 0.8495
O: 0.5031 0.6073 0.8774
O: 0.5429 0.6541 0.6387
O: 0.6073 0.5031 0.3774
O: 0.6399 0.2065 0.1552
O: 0.6541 0.5429 0.1387
O: 0.7354 0.8977 0.5750
O: 0.7529 0.3572 0.8692
O: 0.8977 0.7354 0.0750
O: 0.9348 0.4694 0.3495
O: 0.9506 0.3456 0.5947



The following is a DFT calculation (GGA-PBE) of a relaxed MgSi2 crystal.

Summary:
E above lowest polymorph = 0.41 eV/f.u.
Space-group type = Cm (8)
Total moment = 0.01 μB/cell
Corrected total energy (MP2020 scheme) = -47.2 eV per cell
Energy = -3.983 eV/atom

Cell: 5.2286 5.2286 12.2468 Å, 107.18 107.18 39.75°
Fractional coordinates of all 12 atoms:
Mg: 0.0000 0.0000 0.0000
Mg: 0.0306 0.0306 0.5783
Mg: 0.5124 0.5124 0.7879
Mg: 0.6824 0.6824 0.2165
Si: 0.2545 0.2545 0.8636
Si: 0.3034 0.3034 0.5712
Si: 0.3710 0.3710 0.1390
Si: 0.3739 0.3739 0.3858
Si: 0.6501 0.6501 0.4325
Si: 0.7235 0.7235 0.9995
Si: 0.7725 0.7725 0.7106
Si: 0.9947 0.9947 0.2974



The following is a DFT calculation (GGA-PBE) of a relaxed Nb2VFeSe10 crystal.

Summary:
Space-group type = Pm (6)
Total moment = 0.23 μB/cell
Corrected total energy (MP2020 scheme) = -85.6 eV per cell
Energy = -5.775 eV/atom

Cell: 9.3633 3.4947 10.1054 Å, 90.00 112.97 90.00°
Fractional coordinates of all 14 atoms:
Nb: 0.0000 0.0000 0.0000
Nb: 0.4479 0.5000 0.2727
V: 0.1768 0.5000 0.7206
Fe: 0.2747 0.0000 0.5369
Se: 0.0822 0.5000 0.4710
Se: 0.2129 0.5000 0.9984
Se: 0.2390 0.0000 0.2813
Se: 0.3795 0.0000 0.7897
Se: 0.4605 0.5000 0.5470
Se: 0.5611 0.0000 0.1393
Se: 0.6816 0.0000 0.3943
Se: 0.7672 0.5000 0.8774
Se: 0.8864 0.5000 0.1329
Se: 0.9738 0.0000 0.7219



The following is a DFT calculation (GGA-PBE) of a relaxed MnIn2Se4 crystal.

Summary:
Space-group type = R3m (160)
Total moment = 4.82 μB/cell
Corrected total energy (MP2020 scheme) = -33.6 eV per cell
Energy = -4.534 eV/atom

Cell: 13.6322 13.6322 13.6322 Å, 17.77 17.77 17.77°
Fractional coordinates of all 7 atoms:
Mn: 0.0000 0.0000 0.0000
In: 0.2354 0.2354 0.2354
In: 0.4662 0.4662 0.4662
Se: 0.1057 0.1057 0.1057
Se: 0.3494 0.3494 0.3494
Se: 0.5313 0.5313 0.5313
Se: 0.9356 0.9356 0.9356



The following is a DFT calculation (GGA-PBE) of a relaxed EuMgTl2 crystal.

Summary:
Space-group type = Fm-3m (225)
Energy = -4.460 eV/atom

Cell: 5.3697 5.3697 5.3697 Å, 60.00 60.00 60.00°
Fractional coordinates of all 4 atoms:
Eu: 0.0000 0.0000 0.0000
Mg: 0.5000 0.5000 0.5000
Tl: 0.2500 0.2500 0.2500
Tl: 0.7500 0.7500 0.7500



The following is a DFT calculation (GGA-PBE) of a relaxed Y2MnS4 crystal.

Summary:
Space-group type = Cmc2_1 (36)
Corrected total energy (MP2020 scheme) = -103.8 eV per cell
Energy = -7.129 eV/atom

Cell: 6.4846 6.4846 12.9053 Å, 90.00 90.00 145.94°
Fractional coordinates of all 14 atoms:
Y: 0.1187 0.8813 0.5000
Y: 0.3626 0.6374 0.7026
Y: 0.6374 0.3626 0.2026
Y: 0.8813 0.1187 0.0000
Mn: 0.3735 0.6265 0.3388
Mn: 0.6265 0.3735 0.8388
S: 0.0097 0.9903 0.2887
S: 0.2601 0.7399 0.8890
S: 0.2907 0.7093 0.1501
S: 0.4616 0.5384 0.5147
S: 0.5384 0.4616 0.0147
S: 0.7093 0.2907 0.6501
S: 0.7399 0.2601 0.3890
S: 0.9903 0.0097 0.7887



The following is a DFT calculation (GGA-PBE) of a relaxed Ga3Te crystal.

Summary:
E above lowest polymorph = 0.00 eV/f.u.
Space-group type = I4/mmm (139)
Total moment = 0.00 μB/cell
Corrected total energy (MP2020 scheme) = -12.6 eV per cell
Energy = -3.047 eV/atom

Cell: 5.8691 5.8691 5.8691 Å, 136.34 136.34 63.46°
Fractional coordinates of all 4 atoms:
Ga: 0.0000 0.0000 0.0000
Ga: 0.2500 0.7500 0.5000
Ga: 0.7500 0.2500 0.5000
Te: 0.5000 0.5000 0.0000